No. 1
# K3HoSi3O10, optimized geometry, DFT PBE
data_K3HoSi3O10
_symmetry_space_group_name_H-M 'P n m a'
_symmetry_Int_Tables_number 62
_symmetry_space_group_name_Hall '-P 2ac 2n'
_cell_length_a 13.254
_cell_length_b 13.595
_cell_length_c 5.946
_cell_angle_alpha 90.00
_cell_angle_beta 90.00
_cell_angle_gamma 90.00
loop_
_atom_site_label
_atom_site_type_symbol
_atom_site_fract_x
_atom_site_fract_y
_atom_site_fract_z
K1 K 0.128 0.250 0.077
K2 K 0.137 0.016 0.414
Ho1 Ho 0.039 0.750 0.414
Si1 Si 0.097 0.601 0.911
Si2 Si 0.247 0.250 0.585
O1 O 0.032 0.632 0.135
O2 O 0.044 0.631 0.675
O3 O 0.127 0.250 0.567
O4 O 0.133 0.016 0.916
O5 O 0.203 0.750 0.332
O6 O 0.211 0.654 0.932
# Size of the total moment (μB per formula unit): 1.96
# Calculated formation energy (kJ/mol of formula units): -4673
# Theoretical density (g/cm3): 3.264

No. 2
# FeIr, optimized geometry, DFT PBE
data_FeIr
_symmetry_space_group_name_H-M 'R -3 m'
_symmetry_Int_Tables_number 166
_symmetry_space_group_name_Hall '-R 3 2"'
_cell_length_a 2.6382
_cell_length_b 2.6382
_cell_length_c 12.5706
_cell_angle_alpha 90.00
_cell_angle_beta 90.00
_cell_angle_gamma 120.00
loop_
_atom_site_label
_atom_site_type_symbol
_atom_site_fract_x
_atom_site_fract_y
_atom_site_fract_z
Fe1 Fe 0.0000 0.0000 0.0000
Ir1 Ir 0.0000 0.0000 0.5000
# Calculated formation energy (kJ/mol of formula units): 3
# Theoretical density (g/cm3): 16.309

No. 3
# NaNb4Si3P3O24, optimized geometry, DFT PBE
data_NaNb4Si3P3O24
_symmetry_space_group_name_H-M 'P 1'
_symmetry_Int_Tables_number 1
_symmetry_space_group_name_Hall 'P 1'
_cell_length_a 8.863
_cell_length_b 8.866
_cell_length_c 22.935
_cell_angle_alpha 90.14
_cell_angle_beta 90.07
_cell_angle_gamma 119.98
loop_
_atom_site_label
_atom_site_type_symbol
_atom_site_fract_x
_atom_site_fract_y
_atom_site_fract_z
Na1 Na 0.000 0.000 0.000
Na2 Na 0.000 0.000 0.496
Na3 Na 0.334 0.667 0.332
Nb1 Nb 0.000 0.002 0.642
Nb2 Nb 0.328 0.663 0.187
Nb3 Nb 0.329 0.664 0.475
Nb4 Nb 0.330 0.669 0.687
Nb5 Nb 0.331 0.671 0.973
Nb6 Nb 0.661 0.324 0.522
Nb7 Nb 0.661 0.331 0.809
Nb8 Nb 0.662 0.332 0.308
Nb9 Nb 0.663 0.338 0.023
Nb10 Nb 0.994 0.995 0.145
Nb11 Nb 0.996 0.005 0.354
Nb12 Nb 0.998 0.997 0.854
Si1 Si 0.046 0.383 0.581
Si2 Si 0.047 0.669 0.081
Si3 Si 0.332 0.952 0.582
Si4 Si 0.380 0.333 0.415
Si5 Si 0.382 0.051 0.915
Si6 Si 0.663 0.047 0.414
Si7 Si 0.664 0.617 0.915
Si8 Si 0.710 0.712 0.249
Si9 Si 0.998 0.287 0.248
P1 P 0.284 0.287 0.748
P2 P 0.284 0.999 0.249
P3 P 0.329 0.380 0.081
P4 P 0.616 0.665 0.582
P5 P 0.618 0.952 0.081
P6 P 0.713 0.000 0.748
P7 P 0.948 0.333 0.915
P8 P 0.949 0.619 0.415
P9 P 0.998 0.713 0.748
O1 O 0.022 0.187 0.592
O2 O 0.026 0.841 0.088
O3 O 0.027 0.831 0.802
O4 O 0.034 0.197 0.305
O5 O 0.132 0.491 0.924
O6 O 0.134 0.639 0.422
O7 O 0.140 0.641 0.138
O8 O 0.143 0.501 0.639
O9 O 0.159 0.972 0.592
O10 O 0.162 0.695 0.740
O11 O 0.169 0.695 0.025
O12 O 0.170 0.196 0.089
O13 O 0.170 0.199 0.802
O14 O 0.170 0.468 0.525
O15 O 0.170 0.966 0.303
O16 O 0.172 0.480 0.240
O17 O 0.188 0.027 0.905
O18 O 0.188 0.159 0.408
O19 O 0.197 0.169 0.694
O20 O 0.199 0.026 0.193
O21 O 0.299 0.830 0.525
O22 O 0.303 0.466 0.027
O23 O 0.307 0.838 0.240
O24 O 0.308 0.468 0.739
O25 O 0.356 0.503 0.423
O26 O 0.358 0.858 0.925
O27 O 0.361 0.494 0.136
O28 O 0.361 0.860 0.639
O29 O 0.465 0.160 0.256
O30 O 0.466 0.304 0.757
O31 O 0.471 0.170 0.972
O32 O 0.473 0.307 0.473
O33 O 0.493 0.361 0.073
O34 O 0.494 0.853 0.423
O35 O 0.496 0.639 0.926
O36 O 0.499 0.144 0.573
O37 O 0.500 0.364 0.357
O38 O 0.501 0.140 0.857
O39 O 0.505 0.641 0.637
O40 O 0.507 0.867 0.136
O41 O 0.521 0.696 0.239
O42 O 0.533 0.838 0.739
O43 O 0.534 0.836 0.027
O44 O 0.537 0.702 0.528
O45 O 0.636 0.138 0.357
O46 O 0.639 0.133 0.071
O47 O 0.640 0.499 0.857
O48 O 0.641 0.509 0.573
O49 O 0.692 0.523 0.258
O50 O 0.695 0.162 0.758
O51 O 0.698 0.168 0.472
O52 O 0.700 0.529 0.972
O53 O 0.801 0.830 0.592
O54 O 0.802 0.973 0.802
O55 O 0.803 0.974 0.088
O56 O 0.805 0.837 0.305
O57 O 0.829 0.028 0.694
O58 O 0.830 0.308 0.259
O59 O 0.833 0.805 0.191
O60 O 0.835 0.299 0.969
O61 O 0.835 0.813 0.905
O62 O 0.836 0.023 0.408
O63 O 0.840 0.532 0.758
O64 O 0.840 0.538 0.470
O65 O 0.857 0.364 0.572
O66 O 0.857 0.496 0.071
O67 O 0.866 0.361 0.860
O68 O 0.869 0.506 0.360
O69 O 0.970 0.801 0.694
O70 O 0.972 0.171 0.905
O71 O 0.974 0.167 0.191
O72 O 0.976 0.804 0.407
# Size of the total moment (μB per formula unit): 0.00
# Calculated formation energy (kJ/mol of formula units): -10097
# Theoretical density (g/cm3): 3.050

Copy entry 1 word for word.
# K3HoSi3O10, optimized geometry, DFT PBE
data_K3HoSi3O10
_symmetry_space_group_name_H-M 'P n m a'
_symmetry_Int_Tables_number 62
_symmetry_space_group_name_Hall '-P 2ac 2n'
_cell_length_a 13.254
_cell_length_b 13.595
_cell_length_c 5.946
_cell_angle_alpha 90.00
_cell_angle_beta 90.00
_cell_angle_gamma 90.00
loop_
_atom_site_label
_atom_site_type_symbol
_atom_site_fract_x
_atom_site_fract_y
_atom_site_fract_z
K1 K 0.128 0.250 0.077
K2 K 0.137 0.016 0.414
Ho1 Ho 0.039 0.750 0.414
Si1 Si 0.097 0.601 0.911
Si2 Si 0.247 0.250 0.585
O1 O 0.032 0.632 0.135
O2 O 0.044 0.631 0.675
O3 O 0.127 0.250 0.567
O4 O 0.133 0.016 0.916
O5 O 0.203 0.750 0.332
O6 O 0.211 0.654 0.932
# Size of the total moment (μB per formula unit): 1.96
# Calculated formation energy (kJ/mol of formula units): -4673
# Theoretical density (g/cm3): 3.264

The highest calculated formation energy belongs to which entry? FeIr

The lowest calculated formation energy belongs to which entry? NaNb4Si3P3O24